[1]
This record from the Materials Project describes a relaxed structure of RuO4. The functional is GGA-PBE.

abc: 9.0886 9.0886 9.0886
angles: 90.00 90.00 90.00
Closest atoms and distances in Å follow each position.
Positions (direct):
Ru1 0.7500 0.5000 0.0000  4 O 1.71
Ru2 0.5000 0.5000 0.5000  4 O 1.71
Ru3 0.5000 0.0000 0.2500  4 O 1.71
Ru4 0.0000 0.2500 0.5000  4 O 1.71
Ru5 0.0000 0.0000 0.0000  4 O 1.71
Ru6 0.2500 0.5000 0.0000  4 O 1.71
Ru7 0.5000 0.0000 0.7500  4 O 1.71
Ru8 0.0000 0.7500 0.5000  4 O 1.71
O1 0.6105 0.8926 0.6412  1 Ru 1.71
O2 0.1074 0.3588 0.6105  1 Ru 1.71
O3 0.3926 0.8895 0.8588  1 Ru 1.71
O4 0.6089 0.3911 0.6089  1 Ru 1.71
O5 0.8911 0.1089 0.1089  1 Ru 1.71
O6 0.6105 0.1074 0.3588  1 Ru 1.71
O7 0.6074 0.1105 0.8588  1 Ru 1.71
O8 0.1105 0.8588 0.6074  1 Ru 1.71
O9 0.1089 0.1089 0.8911  1 Ru 1.71
O10 0.1412 0.6074 0.8895  1 Ru 1.71
O11 0.8926 0.3588 0.3895  1 Ru 1.71
O12 0.1412 0.3926 0.1105  1 Ru 1.71
O13 0.1089 0.8911 0.1089  1 Ru 1.71
O14 0.3588 0.6105 0.1074  1 Ru 1.71
O15 0.3895 0.8926 0.3588  1 Ru 1.71
O16 0.1074 0.6412 0.3895  1 Ru 1.71
O17 0.3911 0.6089 0.6089  1 Ru 1.71
O18 0.8895 0.8588 0.3926  1 Ru 1.71
O19 0.6412 0.6105 0.8926  1 Ru 1.71
O20 0.3588 0.3895 0.8926  1 Ru 1.71
O21 0.8588 0.3926 0.8895  1 Ru 1.71
O22 0.6074 0.8895 0.1412  1 Ru 1.71
O23 0.3911 0.3911 0.3911  1 Ru 1.71
O24 0.6089 0.6089 0.3911  1 Ru 1.71
O25 0.6412 0.3895 0.1074  1 Ru 1.71
O26 0.8895 0.1412 0.6074  1 Ru 1.71
O27 0.1105 0.1412 0.3926  1 Ru 1.71
O28 0.3895 0.1074 0.6412  1 Ru 1.71
O29 0.8588 0.6074 0.1105  1 Ru 1.71
O30 0.8926 0.6412 0.6105  1 Ru 1.71
O31 0.3926 0.1105 0.1412  1 Ru 1.71
O32 0.8911 0.8911 0.8911  1 Ru 1.71

Results
symmetry	P-43n (218)
VASP energy	-6.45	eV/atom
largest piezoelectric modulus	0.075	C/m2

[2]
This record from the Materials Project describes a relaxed structure of Sm2RuO5. The functional is GGA-PBE.

abc: 3.9363 10.5395 11.5295
angles: 90.00 90.00 90.00
Closest atoms and distances in Å follow each position.
Positions (direct):
Sm1 0.2500 0.6042 0.2312  7 O 2.32-2.46
Sm2 0.7500 0.3958 0.7688  7 O 2.32-2.46
Sm3 0.7500 0.8958 0.7312  7 O 2.32-2.46
Sm4 0.2500 0.1042 0.2688  7 O 2.32-2.46
Sm5 0.2500 0.6328 0.5649  7 O 2.38-2.51
Sm6 0.7500 0.3672 0.4351  7 O 2.38-2.51
Sm7 0.7500 0.8672 0.0649  7 O 2.38-2.51
Sm8 0.2500 0.1328 0.9351  7 O 2.38-2.51
Ru1 0.2500 0.6868 0.8830  5 O 1.90-2.04
Ru2 0.7500 0.3132 0.1170  5 O 1.90-2.04
Ru3 0.7500 0.8132 0.3830  5 O 1.90-2.04
Ru4 0.2500 0.1868 0.6170  5 O 1.90-2.04
O1 0.2500 0.9899 0.0969  4 Sm 2.32-2.40
O2 0.7500 0.0101 0.9031  4 Sm 2.32-2.40
O3 0.7500 0.5101 0.5969  4 Sm 2.32-2.40
O4 0.2500 0.4899 0.4031  4 Sm 2.32-2.40
O5 0.2500 0.7213 0.0463  1 Ru 1.92
O6 0.7500 0.2787 0.9537  1 Ru 1.92
O7 0.7500 0.7787 0.5463  1 Ru 1.92
O8 0.2500 0.2213 0.4537  1 Ru 1.92
O9 0.2500 0.7713 0.7282  1 Ru 1.99
O10 0.7500 0.2287 0.2718  1 Ru 1.99
O11 0.7500 0.7287 0.2282  1 Ru 1.99
O12 0.2500 0.2713 0.7718  1 Ru 1.99
O13 0.2500 0.5289 0.8034  1 Ru 1.90
O14 0.7500 0.4711 0.1966  1 Ru 1.90
O15 0.7500 0.9711 0.3034  1 Ru 1.90
O16 0.2500 0.0289 0.6966  1 Ru 1.90
O17 0.2500 0.7628 0.3858  2 Ru 2.04
O18 0.7500 0.2372 0.6142  2 Ru 2.04
O19 0.7500 0.7372 0.8858  2 Ru 2.04
O20 0.2500 0.2628 0.1142  2 Ru 2.04

Results
symmetry	Pnma (62)
VASP energy	-7.86	eV/atom

[3]
This record from the Materials Project describes a relaxed structure of Sm2Ru2O7. The functional is GGA-PBE.

abc: 7.3242 7.3242 7.3242
angles: 60.00 60.00 60.00
Closest atoms and distances in Å follow each position.
Positions (direct):
Sm1 0.6250 0.6250 0.6250  2 O 2.24
Sm2 0.1250 0.6250 0.6250  2 O 2.24
Sm3 0.6250 0.6250 0.1250  2 O 2.24
Sm4 0.6250 0.1250 0.6250  2 O 2.24
Ru1 0.1250 0.1250 0.1250  6 O 2.02
Ru2 0.6250 0.1250 0.1250  6 O 2.02
Ru3 0.1250 0.1250 0.6250  6 O 2.02
Ru4 0.1250 0.6250 0.1250  6 O 2.02
O1 0.5000 0.5000 0.5000  4 Sm 2.24
O2 0.7500 0.7500 0.7500  4 Sm 2.24
O3 0.0437 0.0437 0.4563  2 Ru 2.02
O4 0.7937 0.7937 0.2063  2 Ru 2.02
O5 0.4563 0.0437 0.4563  2 Ru 2.02
O6 0.4563 0.0437 0.0437  2 Ru 2.02
O7 0.0437 0.4563 0.4563  2 Ru 2.02
O8 0.0437 0.4563 0.0437  2 Ru 2.02
O9 0.4563 0.4563 0.0437  2 Ru 2.02
O10 0.2063 0.7937 0.7937  2 Ru 2.02
O11 0.7937 0.2063 0.2063  2 Ru 2.02
O12 0.2063 0.2063 0.7937  2 Ru 2.02
O13 0.2063 0.7937 0.2063  2 Ru 2.02
O14 0.7937 0.2063 0.7937  2 Ru 2.02

Results
symmetry	Fd-3m (227)
VASP energy	-7.80	eV/atom